Na2TlBi | Materials Project | PBE-GGA | optimized geometry; uncorrected energy = -0.0923 hartree per atom
1.0
0.000 3.867 3.867
3.867 0.000 3.867
3.867 3.867 0.000
Na Tl Bi
2 1 1
Direct
0.250 0.250 0.250
0.750 0.750 0.750
0.000 0.000 0.000
0.500 0.500 0.500